Entry 1:
# AgF3

An optimized crystal structure of AgF3 (r²SCAN, the Materials Project).

Results
Raw total energy = -8.812 eV/atom
SG = P6_122, No. 178
Formation energy = -4.52 eV/f.u.

Cell lengths 5.0270, 5.0270, 15.2790 Å; angles 90.00, 90.00, 120.00 degrees
Last column: nearest neighbours and their distance in Å.
Element x y z (fractional)
Ag  0.2868  0.5736  0.2500  4 F 1.91-2.01
F  0.7539  0.0000  0.5000  2 Ag 2.01
F  0.6675  0.1144  0.8305  1 Ag 1.91
F  0.2461  0.2461  0.1667  2 Ag 2.01
F  0.0000  0.2461  0.3333  2 Ag 2.01
Ag  0.4264  0.7132  0.5833  4 F 1.91-2.01
F  0.2461  0.0000  0.0000  2 Ag 2.01
F  0.8856  0.5531  0.1638  1 Ag 1.91
Ag  0.5736  0.2868  0.0833  4 F 1.91-2.01
F  0.6675  0.5531  0.3362  1 Ag 1.91
F  0.3325  0.8856  0.3305  1 Ag 1.91
Ag  0.2868  0.7132  0.9167  4 F 1.91-2.01
F  0.3325  0.4469  0.8362  1 Ag 1.91
F  0.4469  0.3325  0.4972  1 Ag 1.91
F  0.5531  0.6675  0.9972  1 Ag 1.91
F  0.8856  0.3325  0.0028  1 Ag 1.91
F  0.7539  0.7539  0.6667  2 Ag 2.01
F  0.0000  0.7539  0.8333  2 Ag 2.01
F  0.1144  0.4469  0.6638  1 Ag 1.91
F  0.1144  0.6675  0.5028  1 Ag 1.91
F  0.5531  0.8856  0.1695  1 Ag 1.91
F  0.4469  0.1144  0.6695  1 Ag 1.91
Ag  0.7132  0.4264  0.7500  4 F 1.91-2.01
Ag  0.7132  0.2868  0.4167  4 F 1.91-2.01

***

Entry 2:
# Na3CaMg3AlF14

An optimized crystal structure of Na3CaMg3AlF14 (r²SCAN, the Materials Project).

Results
Raw total energy = -7.359 eV/atom
SG = R-3m, No. 166
Formation energy = -81.17 eV/f.u.

Cell lengths 7.1554, 7.1554, 7.1554 Å; angles 59.78, 59.78, 59.78 degrees
Last column: nearest neighbours and their distance in Å.
Element x y z (fractional)
Mg  0.0000  0.5000  0.5000  6 F 1.96-1.99
Mg  0.5000  0.0000  0.5000  6 F 1.96-1.99
F  0.5628  0.2006  0.5628  1 Al 1.81, 1 Mg 1.99
F  0.4211  0.8310  0.8310  2 Mg 1.96
F  0.5789  0.1690  0.1690  2 Mg 1.96
F  0.2006  0.5628  0.5628  1 Al 1.81, 1 Mg 1.99
F  0.7994  0.4372  0.4372  1 Al 1.81, 1 Mg 1.99
Mg  0.5000  0.5000  0.0000  6 F 1.96-1.99
F  0.8310  0.4211  0.8310  2 Mg 1.96
Ca  0.0000  0.0000  0.0000  2 F 2.20
F  0.1255  0.1255  0.1255  3 Na 2.18, 1 Ca 2.20
F  0.1690  0.1690  0.5789  2 Mg 1.96
Na  0.0000  0.5000  0.0000  2 F 2.18
F  0.5628  0.5628  0.2006  1 Al 1.81, 1 Mg 1.99
F  0.4372  0.7994  0.4372  1 Al 1.81, 1 Mg 1.99
Na  0.5000  0.0000  0.0000  2 F 2.18
F  0.1690  0.5789  0.1690  2 Mg 1.96
F  0.8745  0.8745  0.8745  3 Na 2.18, 1 Ca 2.20
Al  0.5000  0.5000  0.5000  6 F 1.81
Na  0.0000  0.0000  0.5000  2 F 2.18
F  0.4372  0.4372  0.7994  1 Al 1.81, 1 Mg 1.99
F  0.8310  0.8310  0.4211  2 Mg 1.96

***

Entry 3:
# Ac2CuGe

An optimized crystal structure of Ac2CuGe (r²SCAN, the Materials Project).

Results
Raw total energy = -40.885 eV/atom
SG = Fm-3m, No. 225
Formation energy = -1.55 eV/f.u.

Cell lengths 5.4423, 5.4423, 5.4423 Å; angles 60.00, 60.00, 60.00 degrees
Last column: nearest neighbours and their distance in Å.
Element x y z (fractional)
Ac  0.0000  0.0000  0.0000  4 Ge 3.33, 4 Cu 3.33
Ge  0.7500  0.7500  0.7500  8 Ac 3.33
Ac  0.5000  0.5000  0.5000  4 Ge 3.33, 4 Cu 3.33
Cu  0.2500  0.2500  0.2500  8 Ac 3.33

***

Entry 4:
# HoAu2

An optimized crystal structure of HoAu2 (r²SCAN, the Materials Project).

Results
Raw total energy = -45.644 eV/atom
SG = I4/mmm, No. 139
Formation energy = -2.88 eV/f.u.

Cell lengths 3.7035, 3.7035, 5.1938 Å; angles 110.89, 110.89, 90.00 degrees
Last column: nearest neighbours and their distance in Å.
Element x y z (fractional)
Au  0.6646  0.6646  0.3292  5 Au 2.95-3.03, 5 Ho 3.01
Au  0.3354  0.3354  0.6708  5 Au 2.95-3.03, 5 Ho 3.01
Ho  0.0000  0.0000  0.0000  10 Au 3.01

***

Entry 5:
# Ho2Si2O7

An optimized crystal structure of Ho2Si2O7 (r²SCAN, the Materials Project).

Results
Raw total energy = -14.909 eV/atom
SG = Pnma, No. 62
Formation energy = -38.88 eV/f.u.

Cell lengths 5.0176, 8.0908, 13.5964 Å; angles 90.00, 90.00, 90.00 degrees
Last column: nearest neighbours and their distance in Å.
Element x y z (fractional)
O  0.7917  0.9201  0.4516  1 Si 1.62
O  0.3457  0.7500  0.3990  1 Si 1.62
O  0.5085  0.4154  0.2665  1 Si 1.61
Si  0.8793  0.2500  0.8182  4 O 1.61-1.67
O  0.4915  0.9154  0.7335  1 Si 1.61
O  0.5630  0.7500  0.5798  2 Si 1.67-1.68
O  0.6543  0.2500  0.6010  1 Si 1.62
Ho  0.6588  0.9899  0.1255  6 O 2.20-2.44
O  0.5668  0.2500  0.8447  1 Si 1.61
O  0.1543  0.7500  0.8990  1 Si 1.62
O  0.5085  0.0846  0.2665  1 Si 1.61
Si  0.6243  0.7500  0.4587  4 O 1.62-1.68
Ho  0.1588  0.4899  0.3745  6 O 2.20-2.44
O  0.9915  0.0846  0.7665  1 Si 1.61
O  0.2917  0.4201  0.0484  1 Si 1.62
O  0.0668  0.7500  0.6553  1 Si 1.61
O  0.0085  0.5846  0.2335  1 Si 1.61
O  0.9370  0.7500  0.0798  2 Si 1.67-1.68
O  0.2083  0.4201  0.5484  1 Si 1.62
Si  0.3757  0.2500  0.5413  4 O 1.62-1.68
O  0.2917  0.0799  0.0484  1 Si 1.62
O  0.7083  0.9201  0.9516  1 Si 1.62
Si  0.6207  0.2500  0.3182  4 O 1.61-1.67
Ho  0.3412  0.4899  0.8745  6 O 2.20-2.44
O  0.7083  0.5799  0.9516  1 Si 1.62
Si  0.1207  0.7500  0.1818  4 O 1.61-1.67
Ho  0.8412  0.5101  0.6255  6 O 2.20-2.44
O  0.4332  0.7500  0.1553  1 Si 1.61
O  0.4915  0.5846  0.7335  1 Si 1.61
Si  0.3793  0.7500  0.6818  4 O 1.61-1.67
O  0.0085  0.9154  0.2335  1 Si 1.61
O  0.7917  0.5799  0.4516  1 Si 1.62
O  0.9332  0.2500  0.3447  1 Si 1.61
Ho  0.1588  0.0101  0.3745  6 O 2.20-2.44
Ho  0.6588  0.5101  0.1255  6 O 2.20-2.44
Si  0.8757  0.7500  0.9587  4 O 1.62-1.68
Ho  0.3412  0.0101  0.8745  6 O 2.20-2.44
Si  0.1243  0.2500  0.0413  4 O 1.62-1.68
O  0.8457  0.2500  0.1010  1 Si 1.62
O  0.4370  0.2500  0.4202  2 Si 1.67-1.68
O  0.0630  0.2500  0.9202  2 Si 1.67-1.68
O  0.9915  0.4154  0.7665  1 Si 1.61
Ho  0.8412  0.9899  0.6255  6 O 2.20-2.44
O  0.2083  0.0799  0.5484  1 Si 1.62

***

Entry 6:
# PrAu6

An optimized crystal structure of PrAu6 (r²SCAN, the Materials Project).

Results
Raw total energy = -48.027 eV/atom
SG = C2/c, No. 15
Formation energy = -3.28 eV/f.u.

Cell lengths 5.5589, 5.5589, 9.1514 Å; angles 83.03, 83.03, 90.01 degrees
Last column: nearest neighbours and their distance in Å.
Element x y z (fractional)
Au  0.2194  0.3868  0.0805  6 Au 2.76-3.01
Au  0.5393  0.1678  0.8734  8 Au 2.78-2.94
Au  0.1678  0.5393  0.3734  8 Au 2.78-2.94
Au  0.9593  0.8411  0.1370  8 Au 2.76-3.01
Au  0.8322  0.4607  0.6266  8 Au 2.78-2.94
Au  0.0407  0.1589  0.8630  8 Au 2.76-3.01
Pr  0.6863  0.3137  0.2500  14 Au 3.18-3.33
Au  0.8411  0.9593  0.6370  8 Au 2.76-3.01
Au  0.3868  0.2194  0.5805  6 Au 2.76-3.01
Au  0.6132  0.7806  0.4195  6 Au 2.76-3.01
Au  0.7806  0.6132  0.9195  6 Au 2.76-3.01
Pr  0.3137  0.6863  0.7500  14 Au 3.18-3.33
Au  0.1589  0.0407  0.3630  8 Au 2.76-3.01
Au  0.4607  0.8322  0.1266  8 Au 2.78-2.94